(1)
Here is crystalline FeH12C2N2F5 at its relaxed geometry from the Materials Project database. Energies are from PBE+U.

extended XYZ file:
```
88
Lattice="7.994 0.000 0.000 0.000 9.721 0.000 0.000 0.000 10.162" Properties=species:S:1:pos:R:3 pbc="T T T"
H 2.836 7.928 2.070
H 6.848 1.736 2.209
H 6.848 6.596 2.872
H 2.891 3.574 0.598
H 5.103 4.107 1.672
H 1.146 3.125 7.290
H 5.996 7.788 8.058
H 1.999 1.932 2.104
H 5.104 6.147 9.563
H 1.999 4.838 1.517
H 1.106 0.754 6.753
H 2.891 8.434 4.483
H 5.996 2.928 7.185
H 1.107 3.574 0.598
H 2.851 7.985 7.953
H 6.888 8.967 3.409
H 1.161 7.928 2.070
H 1.107 8.434 4.483
H 5.158 6.653 7.151
H 5.103 8.967 3.409
H 5.996 3.143 0.441
H 2.891 5.614 8.489
H 6.888 1.287 5.679
H 5.996 8.003 4.640
H 5.996 7.504 1.724
H 1.999 6.793 2.977
H 2.851 3.125 7.290
H 5.996 0.022 6.598
H 5.144 6.596 2.872
H 1.146 7.985 7.953
H 1.999 6.578 9.721
H 5.104 1.287 5.679
H 6.888 6.147 9.563
H 1.999 2.217 8.438
H 6.834 1.793 8.091
H 5.996 2.643 3.357
H 1.999 9.699 3.564
H 2.836 3.067 3.010
H 6.834 6.653 7.151
H 1.106 5.614 8.489
H 2.891 0.754 6.753
H 5.144 1.736 2.209
H 5.996 4.883 8.645
H 1.999 1.717 5.522
H 1.161 3.067 3.010
H 6.888 4.107 1.672
H 5.158 1.793 8.091
H 1.999 7.077 6.805
N 1.999 2.534 7.460
N 1.999 7.394 7.783
N 5.996 6.800 7.767
N 1.999 2.921 2.395
N 1.999 7.781 2.686
N 5.996 1.940 7.475
N 5.996 7.187 2.702
N 5.996 2.327 2.379
Fe 0.000 0.000 0.000
Fe 3.997 4.860 5.081
Fe 3.997 0.000 0.000
Fe 0.000 4.860 5.081
F 0.185 0.805 1.769
F 3.958 3.099 4.259
F 4.037 6.622 5.903
F 7.955 1.762 9.340
F 1.999 4.821 5.308
F 5.996 0.040 0.227
F 1.999 9.681 9.934
F 7.955 6.622 5.903
F 0.185 5.665 3.312
F 3.812 0.805 1.769
F 4.182 8.916 8.393
F 4.037 1.762 9.340
F 7.809 8.916 8.393
F 5.996 4.900 4.853
F 3.812 5.665 3.312
F 0.039 3.099 4.259
F 0.039 7.959 0.822
F 4.182 4.055 6.850
F 3.958 7.959 0.822
F 7.809 4.055 6.850
C 1.999 6.217 8.689
C 5.996 3.504 1.472
C 1.999 3.794 1.195
C 5.996 1.066 6.276
C 1.999 1.356 6.553
C 5.996 8.365 3.609
C 1.999 8.654 3.886
C 5.996 5.927 8.966
```

Calculated values
Total energy after the MP2020 corrections: -5.308 eV per atom
Mass density: 1.81 Mg/m³
Energy of formation: -1.040 eV per atom

(2)
Here is crystalline Fe3P3H12C2N2O13F2 at its relaxed geometry from the Materials Project database. Energies are from PBE+U.

extended XYZ file:
```
148
Lattice="-2.311 -7.521 6.892 1.630 -6.217 -6.238 17.929 -6.070 -0.612" Properties=species:S:1:pos:R:3 pbc="T T T"
F 3.686 -5.767 -0.014
F 14.981 -8.609 -2.919
F 12.963 -7.784 -1.253
F 2.266 -11.199 2.961
F 5.284 -7.958 -0.428
F 13.562 -14.041 0.056
F 11.963 -11.849 0.470
F 4.284 -12.024 1.295
H 0.064 -6.785 3.418
H 12.592 -12.057 -2.927
H 0.280 -13.256 1.163
H 8.707 -10.867 4.072
H 13.026 -12.719 4.434
H 11.714 -5.226 -1.426
H 10.301 -12.852 -2.294
H 5.534 -14.582 1.468
H 7.822 -10.967 5.505
H 16.968 -6.552 -1.121
H 1.696 -5.621 2.023
H 12.440 -12.592 -1.353
H 4.808 -7.216 1.395
H 13.153 -13.580 -2.520
H 16.890 -14.567 -0.852
H 10.113 -8.402 -4.010
H 4.221 -7.089 -4.392
H 8.541 -8.941 -4.030
H 0.357 -5.241 0.894
H 15.552 -14.187 -1.981
H 9.386 -7.437 2.492
H 7.861 -12.370 -2.450
H 17.533 -14.666 -3.212
H 8.811 -13.226 3.848
H 9.426 -8.840 -5.463
H 17.183 -13.023 -3.376
H 0.842 -6.950 1.183
H 7.134 -11.405 4.052
H 11.917 -12.978 5.660
H 4.094 -6.228 2.562
H 2.402 -13.052 2.156
H 8.437 -6.581 -3.806
H 5.330 -6.830 -5.618
H 10.057 -5.883 -1.604
H 1.493 -13.303 -0.149
H 0.509 -7.452 -1.793
H 4.656 -7.750 2.969
H 16.739 -12.356 1.835
H 15.755 -6.505 0.191
H 15.809 -18.714 0.276
H 6.220 -5.329 2.201
H 11.028 -14.479 -2.159
H 14.846 -6.755 -2.114
H 6.947 -6.956 2.337
H 7.191 -13.924 1.647
H 1.439 -1.093 -0.234
H -0.285 -5.142 3.254
H 16.405 -12.858 -1.141
O 13.165 -11.309 3.001
O 9.801 -13.513 1.189
O 14.859 -11.589 0.621
O 8.109 -15.419 -0.511
O 4.840 -11.985 4.071
O 13.738 -10.463 -1.350
O 4.950 -10.894 -2.568
O 4.528 -13.368 -1.113
O 11.298 -15.476 0.627
O 6.067 -10.116 2.404
O 18.282 -10.890 -2.584
O 12.039 -13.795 2.383
O 9.139 -4.388 0.553
O 6.301 -10.849 -0.071
O 2.864 -10.715 -0.649
O 5.950 -4.331 -0.585
O 2.389 -8.219 -0.579
O 8.163 -11.196 1.627
O 10.652 -10.857 2.732
O -0.318 -2.956 2.328
O 12.298 -8.913 2.611
O 11.181 -9.691 -2.362
O 14.384 -9.092 0.691
O 16.195 -10.034 -0.807
O 1.053 -9.773 0.850
O 12.407 -7.823 -4.028
O 14.610 -16.016 1.577
O 17.666 -8.149 -2.963
O 3.741 -3.453 1.506
O 2.361 -6.186 -2.487
O 5.208 -6.013 -2.341
O 3.916 -9.201 4.156
O 15.821 -11.135 -3.775
O 6.595 -8.950 -2.690
O 9.085 -8.612 -1.584
O 4.082 -8.498 -2.958
O 10.946 -8.959 0.113
O 7.548 -8.869 0.783
O -1.034 -8.918 2.626
O 12.720 -6.440 1.155
O 7.447 -6.294 -1.147
O 17.566 -16.852 -2.285
O 13.507 -16.355 -1.464
O 2.259 -9.377 6.123
O 3.510 -9.344 1.392
O 13.331 -10.606 -4.114
O 14.989 -10.431 -6.080
O 2.637 -3.792 -1.535
O -0.418 -11.658 3.005
O 1.427 -8.673 3.817
O 9.700 -10.939 -0.741
O 14.887 -13.621 2.529
P 15.431 -15.067 2.498
P 1.817 -4.740 -2.455
P 5.238 -9.508 -3.205
P 2.473 -9.510 0.262
P 10.240 -9.538 -1.146
P 2.624 -8.635 4.809
P 12.010 -10.300 3.247
P 14.774 -10.297 -0.220
P 14.623 -11.173 -4.766
P 10.828 -14.530 1.775
P 7.008 -10.270 1.188
P 6.420 -5.277 -1.732
N 17.480 -13.761 -2.720
N 12.763 -13.363 5.204
N 8.014 -11.419 4.598
N 4.847 -6.916 2.383
N 12.400 -12.892 -2.341
N 4.485 -6.445 -5.162
N -0.232 -6.047 2.762
N 9.234 -8.388 -4.556
C 16.155 -5.974 -0.677
C 16.513 -13.850 -1.586
C 11.089 -13.511 -2.664
C 10.839 -5.283 -2.077
C 6.159 -6.296 2.706
C 1.093 -13.834 0.719
C 6.409 -14.525 2.119
C 0.734 -5.958 1.628
Fe 4.207 -10.630 2.763
Fe 16.670 -9.778 -2.667
Fe 7.253 -8.216 -1.011
Fe 0.578 -10.029 2.709
Fe 12.632 -8.278 0.710
Fe 13.132 -16.023 0.363
Fe 13.476 -12.673 1.548
Fe 4.615 -11.530 -0.668
Fe 9.995 -11.592 1.053
Fe 3.771 -7.135 -1.506
Fe 4.116 -3.785 -0.320
Fe 13.040 -9.178 -2.721
```

Calculated values
Total energy after the MP2020 corrections: -6.322 eV per atom
Mass density: 2.35 Mg/m³
Energy of formation: -1.305 eV per atom

(3)
Here is crystalline FeC7O4F2 at its relaxed geometry from the Materials Project database. Energies are from PBE+U.

extended XYZ file:
```
112
Lattice="-17.071 -7.933 20.238 4.639 -4.672 2.082 7.955 1.791 7.412" Properties=species:S:1:pos:R:3 pbc="T T T"
C -6.160 -4.999 21.873
C -4.032 -9.116 23.562
C 1.679 -6.385 15.875
C 1.520 -1.738 12.264
C 2.238 -4.856 5.594
C -6.321 -9.855 25.081
C -3.668 -4.577 9.927
C -10.891 -9.926 18.324
C 2.391 0.400 2.531
C -10.112 -8.520 22.852
C 3.889 -4.992 16.405
C 5.174 -1.420 7.866
C -6.155 -4.429 13.858
C -0.359 -3.082 11.017
C -1.843 -2.521 15.973
C -5.997 -9.076 17.469
C 0.904 -1.880 2.324
C 0.427 -2.571 14.755
C -1.574 -3.985 13.684
C -3.025 -5.071 7.666
C -9.493 -7.299 23.087
C 6.414 -0.888 11.409
C -0.444 -1.698 6.171
C -7.231 -5.245 16.328
C 1.683 -5.815 7.859
C 1.845 -0.959 4.652
C -1.451 -5.743 22.067
C -7.933 -7.802 21.329
C -0.808 -6.237 19.806
C -8.983 -6.697 25.633
C -6.715 -5.958 24.138
C -9.651 -9.394 21.866
C 3.903 -3.878 7.416
C -4.118 -7.732 18.716
C -4.140 -5.884 10.048
C 4.077 -1.783 8.636
C -8.554 -9.031 21.096
C 5.635 -2.294 6.881
C 5.016 -3.515 6.646
C -2.633 -8.293 13.760
C -9.488 -5.593 17.397
C -2.902 -6.829 16.049
C 2.754 -5.569 13.404
C -4.904 -8.243 14.978
C -8.926 -6.237 14.543
C -8.365 -5.822 13.328
C 4.507 -4.117 4.100
C 3.457 -3.012 8.404
C 4.450 -4.577 15.190
C -8.380 -6.936 22.317
C -3.103 -4.167 8.727
C -1.374 -6.647 21.006
C 5.012 -5.221 12.335
C -5.380 -8.934 27.408
C -0.336 -4.930 19.684
C -6.867 -11.214 27.201
O 0.103 -2.127 7.091
O 9.239 -3.693 7.438
O -5.994 -6.502 24.859
O 5.311 -4.706 11.349
O -2.727 -5.747 16.409
O -5.156 -4.909 21.315
O -10.852 -8.885 18.817
O -5.073 -4.779 14.061
O -4.032 -6.668 19.153
O 3.942 -3.527 3.283
O -7.111 -8.910 17.221
O 1.518 -4.312 4.874
O -0.445 -4.146 10.579
O -8.419 -7.287 26.450
O 0.596 -6.035 15.671
O -2.286 -8.096 12.679
O 2.635 -1.904 12.512
O -13.715 -7.121 22.295
O -9.787 -6.108 18.384
O 8.875 -1.083 9.150
O -4.580 -8.687 22.641
O -13.352 -9.731 20.583
O 1.739 -5.162 13.033
O -2.190 -2.718 17.054
O -7.015 -9.511 24.225
O 6.375 -1.929 10.916
O -1.749 -5.067 13.324
O 2.539 -1.303 5.508
O 0.680 -5.905 8.418
O 1.488 -2.745 15.176
O -5.964 -8.069 14.557
O -6.215 -5.652 16.699
Fe -1.303 -2.288 14.273
Fe -1.449 -1.049 4.798
Fe -4.286 -9.397 18.005
Fe -0.190 -1.417 11.728
Fe -3.028 -9.765 24.935
Fe -3.173 -8.526 15.460
Fe 0.899 -0.312 3.241
Fe -5.375 -10.502 26.492
F 2.397 -3.319 9.216
F 6.729 -1.884 6.170
F -0.744 -7.109 18.766
F 5.790 -0.233 8.099
F -4.669 -6.227 11.261
F -10.267 -10.581 21.633
F -8.120 -9.867 20.119
F 5.523 -2.820 13.932
F -2.618 -2.904 8.615
F -3.732 -3.705 10.967
F -9.999 -7.994 15.801
F -11.205 -8.930 23.562
F 0.193 -4.587 18.472
F 3.643 -0.947 9.614
F -6.873 -7.495 20.517
F -1.858 -7.910 21.118
```

Calculated values
Total energy after the MP2020 corrections: -7.549 eV per atom
Mass density: 1.87 Mg/m³
Energy of formation: -0.643 eV per atom

(4)
Here is crystalline FeSb4C6O6F22 at its relaxed geometry from the Materials Project database. Energies are from PBE+U.

extended XYZ file:
```
78
Lattice="-6.637 1.417 -7.268 -1.878 -9.367 5.068 -7.666 5.952 8.160" Properties=species:S:1:pos:R:3 pbc="T T T"
F -4.560 -2.040 3.236
F -2.086 -2.586 2.044
F -12.295 -2.100 6.145
F -9.773 -4.247 6.044
F -14.094 0.588 3.917
F -8.224 4.686 4.741
F -7.203 -1.223 8.479
F -10.052 3.528 -0.335
F -11.620 0.042 2.724
F -6.960 1.038 6.098
F -11.008 -4.686 1.131
F -9.793 -1.165 5.965
F -8.147 -4.066 8.155
F -8.034 2.069 -2.195
F -7.652 2.866 2.690
F -6.269 -6.423 3.298
F -8.603 -3.327 -3.379
F -12.630 -0.985 8.508
F -3.648 -6.504 5.780
F -10.082 0.007 8.398
F -7.578 1.329 9.340
F -5.173 2.688 4.829
F -6.129 -5.526 6.296
F -4.335 -3.985 5.058
F -10.477 -2.621 8.146
F -4.316 -2.601 -0.360
F -11.846 1.987 0.902
F -6.388 -0.833 -0.005
F -12.533 4.507 0.180
F -4.578 0.044 5.568
F -6.408 2.249 -0.084
F -8.529 -4.864 3.270
F -11.603 -2.041 0.392
F -11.865 0.603 6.320
F -3.886 0.103 -0.185
F -3.551 -1.013 -2.548
F -12.032 2.495 3.589
F -8.978 -0.775 -2.519
F -7.957 -6.683 1.219
F -5.704 0.623 -2.186
F -4.148 -4.493 2.371
F -9.221 -3.035 -0.137
F -9.912 4.426 2.662
F -6.099 -2.005 -2.438
Sb -4.378 -5.058 6.821
Sb -8.129 -6.723 3.136
Sb -3.138 -3.318 3.455
Sb -4.953 -1.067 -1.268
Sb -13.043 1.320 2.505
Sb -11.803 3.060 -0.861
Sb -11.228 -0.931 7.228
Sb -8.052 4.725 2.824
C -2.930 -8.389 3.791
C -7.369 -1.720 4.609
C -9.680 -2.057 3.242
C -8.902 0.460 3.943
C -8.490 4.300 7.608
C -7.279 -2.457 2.017
C -1.359 0.227 1.347
C -13.250 6.391 2.169
C -14.822 -2.224 4.613
C -7.691 -6.298 -1.648
C -8.812 -0.277 1.351
C -6.501 0.059 2.718
O -10.608 -2.691 3.389
O -8.985 3.330 7.293
O -6.801 -3.337 1.486
O -7.195 -5.328 -1.333
O -5.573 0.693 2.571
O -6.938 -2.192 5.546
O -3.508 -7.804 3.010
O -12.673 5.806 2.950
O -2.144 0.327 2.159
O -9.380 1.340 4.475
O -14.037 -2.324 3.801
O -9.243 0.194 0.414
Fe 0.000 0.000 0.000
Fe -8.090 -0.999 2.980
```

Calculated values
Total energy after the MP2020 corrections: -5.935 eV per atom
Mass density: 2.94 Mg/m³
Energy of formation: -2.033 eV per atom

- mass density of number 3 (FeC7O4F2)?
  1.87 Mg/m³